Density functional theory data (meta-GGA r2SCAN) for a geometry-optimized TeCl4 structure.

```
TeCl4
1.0
8.632 -5.325 0.000
8.632 5.325 0.000
-6.951 0.000 13.853
Te Cl
8 32
direct
0.233 0.765 0.610
0.235 0.767 0.890
0.338 0.382 0.182
0.382 0.338 0.682
0.618 0.662 0.318
0.662 0.618 0.818
0.765 0.233 0.110
0.767 0.235 0.390
0.014 0.985 0.623
0.015 0.986 0.877
0.119 0.622 0.686
0.127 0.613 0.189
0.128 0.643 0.453
0.133 0.648 0.938
0.238 0.276 0.019
0.249 0.269 0.244
0.269 0.249 0.744
0.276 0.238 0.519
0.352 0.867 0.562
0.357 0.872 0.047
0.378 0.881 0.814
0.387 0.873 0.311
0.491 0.507 0.123
0.493 0.509 0.377
0.507 0.491 0.623
0.509 0.493 0.877
0.613 0.127 0.689
0.622 0.119 0.186
0.643 0.128 0.953
0.648 0.133 0.438
0.724 0.762 0.481
0.731 0.751 0.256
0.751 0.731 0.756
0.762 0.724 0.981
0.867 0.352 0.062
0.872 0.357 0.547
0.873 0.387 0.811
0.881 0.378 0.314
0.985 0.014 0.123
0.986 0.015 0.377
```

=====

Density functional theory data (meta-GGA r2SCAN) for a geometry-optimized CsInI3 structure.

```
CsInI3
1.0
10.856 0.000 0.000
-2.110 10.798 0.000
-0.551 -4.214 10.202
Cs In I
4 4 12
direct
0.109 0.271 0.444
0.372 0.743 0.252
0.628 0.257 0.748
0.891 0.729 0.556
0.197 0.259 0.888
0.428 0.773 0.743
0.572 0.227 0.257
0.803 0.741 0.112
0.019 0.865 0.288
0.134 0.380 0.133
0.212 0.647 0.517
0.336 0.074 0.889
0.337 0.456 0.821
0.397 0.124 0.424
0.603 0.876 0.576
0.663 0.544 0.179
0.664 0.926 0.111
0.788 0.353 0.483
0.866 0.620 0.867
0.981 0.135 0.712
```

=====

Density functional theory data (meta-GGA r2SCAN) for a geometry-optimized CsK3 structure.

```
CsK3
1.0
-3.512 3.512 7.064
3.512 -3.512 7.064
3.512 3.512 -7.064
Cs K
1 3
direct
0.000 0.000 0.000
0.250 0.750 0.500
0.500 0.500 0.000
0.750 0.250 0.500
```

=====

Density functional theory data (meta-GGA r2SCAN) for a geometry-optimized CrHO2 structure.

```
CrHO2
1.0
1.500 0.866 4.470
-1.500 0.866 4.470
0.000 -1.732 4.470
Cr H O
1 1 2
direct
0.000 0.000 0.000
0.488 0.488 0.488
0.410 0.410 0.410
0.596 0.596 0.596
```

=====

| no. | energy (eV/cell) | magnetic moment (μB per formula unit) |
| --- | --- | --- |
| 1 | -425.81 | 0.00 |
| 2 | -506.75 | 0.00 |
| 3 | -43.09 | 0.00 |
| 4 | -38.17 | 3.00 |